# r²SCAN Zr3Ga2, relaxed
# ΔE_f = -0.6183 eV/atom
# Final energy = -18.845 eV/atom
# Total magnetization = 0.00 μB/f.u.
data_Zr3Ga2
_cell_length_a 7.334
_cell_length_b 7.334
_cell_length_c 3.704
_cell_angle_alpha 90.00
_cell_angle_beta 90.00
_cell_angle_gamma 90.00
_space_group_name_H-M_alt 'P 4/m b m'
_space_group_IT_number 127
_space_group_name_Hall '-P 4 2ab'
loop_
_atom_site_label
_atom_site_fract_x
_atom_site_fract_y
_atom_site_fract_z
Zr1 0.000 0.000 0.000
Zr2 0.177 0.323 0.500
Ga1 0.123 0.623 0.000

# r²SCAN GdGe, relaxed
# ΔE_f = -0.9142 eV/atom
# Final energy = -29.549 eV/atom
# Total magnetization = 7.49 μB/f.u.
data_GdGe
_cell_length_a 4.293
_cell_length_b 10.872
_cell_length_c 4.002
_cell_angle_alpha 90.00
_cell_angle_beta 90.00
_cell_angle_gamma 90.00
_space_group_name_H-M_alt 'C m c m'
_space_group_IT_number 63
_space_group_name_Hall '-C 2c 2'
loop_
_atom_site_label
_atom_site_fract_x
_atom_site_fract_y
_atom_site_fract_z
Gd1 0.000 0.141 0.250
Ge1 0.000 0.420 0.250

# r²SCAN Gd2InGe2, relaxed
# ΔE_f = -0.7742 eV/atom
# Final energy = -28.198 eV/atom
# Total magnetization = 14.46 μB/f.u.
data_Gd2InGe2
_cell_length_a 7.446
_cell_length_b 7.446
_cell_length_c 4.231
_cell_angle_alpha 90.00
_cell_angle_beta 90.00
_cell_angle_gamma 90.00
_space_group_name_H-M_alt 'P 4/m b m'
_space_group_IT_number 127
_space_group_name_Hall '-P 4 2ab'
loop_
_atom_site_label
_atom_site_fract_x
_atom_site_fract_y
_atom_site_fract_z
Gd1 0.179 0.321 0.000
In1 0.000 0.000 0.500
Ge1 0.119 0.619 0.500

- Among the records above, which one has the highest ΔE_f?
  Zr3Ga2